Record 1
# TmCu3Te3, optimized geometry, DFT GGA-PBE
data_TmCu3Te3
_chemical_formula_sum 'Tm6 Cu18 Te18'
_symmetry_space_group_name_H-M 'R -3'
_symmetry_Int_Tables_number 148
_symmetry_space_group_name_Hall '-R 3'
_cell_length_a 7.4401
_cell_length_b 7.4401
_cell_length_c 20.9519
_cell_angle_alpha 90.00
_cell_angle_beta 90.00
_cell_angle_gamma 120.00
loop_
_atom_site_label
_atom_site_fract_x
_atom_site_fract_y
_atom_site_fract_z
Tm1 0.0000 0.0000 0.1660
Cu1 0.0034 0.3495 0.6251
Te1 0.0020 0.3241 0.4186
# VASP energy in Ry/atom: -0.3102
# Crystal system: trigonal
# Magnetic moment in μB/f.u.: 0.000
# Polymorph energy (0 for the lowest one) in kcal/mol of atoms: 1.17
# Energy of formation from the pure elements in meV per atom: -658

---

Record 2
# Y2Th8O19, optimized geometry, DFT GGA-PBE
data_Y2Th8O19
_chemical_formula_sum 'Y2 Th8 O19'
_symmetry_space_group_name_H-M 'P 1'
_symmetry_Int_Tables_number 1
_symmetry_space_group_name_Hall 'P 1'
_cell_length_a 3.957
_cell_length_b 3.957
_cell_length_c 27.940
_cell_angle_alpha 90.02
_cell_angle_beta 90.06
_cell_angle_gamma 90.00
loop_
_atom_site_label
_atom_site_fract_x
_atom_site_fract_y
_atom_site_fract_z
Y1 0.000 0.000 0.000
Y2 0.492 0.492 0.112
Th1 0.488 0.502 0.706
Th2 0.491 0.502 0.506
Th3 0.493 0.500 0.908
Th4 0.494 0.501 0.305
Th5 0.989 0.000 0.807
Th6 0.990 0.003 0.606
Th7 0.992 0.002 0.405
Th8 0.994 0.998 0.204
O1 0.487 0.001 0.756
O2 0.488 0.003 0.056
O3 0.490 0.003 0.656
O4 0.491 0.002 0.456
O5 0.491 0.003 0.556
O6 0.491 0.999 0.855
O7 0.493 0.001 0.356
O8 0.493 0.996 0.159
O9 0.495 0.000 0.257
O10 0.496 0.000 0.953
O11 0.988 0.501 0.757
O12 0.989 0.503 0.656
O13 0.991 0.499 0.860
O14 0.991 0.502 0.455
O15 0.991 0.503 0.556
O16 0.993 0.495 0.147
O17 0.993 0.501 0.354
O18 0.994 0.500 0.252
O19 0.996 0.500 0.965
# VASP energy in Ry/atom: -0.7012
# Crystal system: triclinic
# Magnetic moment in μB/f.u.: 0.001
# Polymorph energy (0 for the lowest one) in kcal/mol of atoms: 0.00
# Energy of formation from the pure elements in meV per atom: -4258

---

Record 3
# Zr2N2O, optimized geometry, DFT GGA-PBE
data_Zr2N2O
_chemical_formula_sum 'Zr16 N16 O8'
_symmetry_space_group_name_H-M 'P 1'
_symmetry_Int_Tables_number 1
_symmetry_space_group_name_Hall 'P 1'
_cell_length_a 8.866
_cell_length_b 8.875
_cell_length_c 8.878
_cell_angle_alpha 109.45
_cell_angle_beta 109.46
_cell_angle_gamma 109.47
loop_
_atom_site_label
_atom_site_fract_x
_atom_site_fract_y
_atom_site_fract_z
Zr1 0.000 0.000 0.000
Zr2 0.009 0.520 0.502
Zr3 0.045 0.225 0.749
Zr4 0.224 0.694 0.969
Zr5 0.253 0.966 0.704
Zr6 0.264 0.475 0.225
Zr7 0.286 0.259 0.465
Zr8 0.468 0.731 0.681
Zr9 0.499 0.436 0.929
Zr10 0.511 0.943 0.433
Zr11 0.533 0.227 0.262
Zr12 0.715 0.185 0.960
Zr13 0.740 0.966 0.212
Zr14 0.753 0.473 0.712
Zr15 0.784 0.757 0.458
Zr16 0.956 0.712 0.171
N1 0.030 0.739 0.442
N2 0.203 0.458 0.439
N3 0.241 0.201 0.670
N4 0.259 0.746 0.759
N5 0.283 0.232 0.198
N6 0.295 0.486 0.987
N7 0.481 0.940 0.172
N8 0.492 0.988 0.685
N9 0.514 0.205 0.492
N10 0.523 0.701 0.452
N11 0.707 0.703 0.180
N12 0.722 0.928 0.944
N13 0.744 0.508 0.479
N14 0.764 0.437 0.953
N15 0.791 0.025 0.490
N16 0.992 0.747 0.943
O1 0.015 0.968 0.752
O2 0.026 0.009 0.261
O3 0.217 0.712 0.228
O4 0.483 0.214 0.990
O5 0.526 0.519 0.728
O6 0.794 0.246 0.244
O7 0.976 0.243 0.971
O8 0.977 0.426 0.703
# VASP energy in Ry/atom: -0.7199
# Crystal system: triclinic
# Energy of formation from the pure elements in meV per atom: -2189